Entry a
Density functional theory data (PBE+U) for a relaxed Li7Mn2Co3O12 crystal.

The structure in POSCAR format:
```
Li7Mn2Co3O12
1.0
5.054 0.000 0.000
1.799 5.629 0.000
1.648 1.178 7.542
Li Mn Co O
7 2 3 12
direct
0.000 0.000 0.000 Li
0.000 0.167 0.323 Li
0.000 0.500 0.000 Li
0.000 0.833 0.677 Li
0.488 0.672 0.841 Li
0.500 0.000 0.500 Li
0.512 0.328 0.159 Li
0.000 0.332 0.670 Mn
0.000 0.668 0.330 Mn
0.488 0.844 0.161 Co
0.500 0.500 0.500 Co
0.512 0.156 0.839 Co
0.231 0.349 0.430 O
0.238 0.027 0.741 O
0.243 0.662 0.107 O
0.248 0.479 0.741 O
0.251 0.801 0.413 O
0.275 0.152 0.086 O
0.725 0.848 0.914 O
0.749 0.199 0.587 O
0.752 0.521 0.259 O
0.757 0.338 0.893 O
0.762 0.973 0.259 O
0.769 0.651 0.570 O
```

- spin magnetization (μB per formula unit) = 6.00

***

Entry b
Density functional theory data (PBE+U) for a relaxed Li7Mn2Co3O12 crystal.

The structure in POSCAR format:
```
Li7Mn2Co3O12
1.0
2.977 0.000 0.000
-1.487 6.266 0.000
-0.768 -2.926 11.559
Li Mn Co O
7 2 3 12
direct
0.000 0.000 0.000 Li
0.006 0.004 0.746 Li
0.020 0.006 0.238 Li
0.345 0.676 0.581 Li
0.355 0.689 0.078 Li
0.674 0.336 0.418 Li
0.686 0.337 0.910 Li
0.358 0.680 0.329 Mn
0.680 0.330 0.156 Mn
0.016 0.011 0.499 Co
0.346 0.686 0.835 Co
0.682 0.344 0.664 Co
0.155 0.340 0.053 O
0.164 0.364 0.784 O
0.200 0.328 0.542 O
0.213 0.352 0.274 O
0.496 0.027 0.618 O
0.500 0.973 0.862 O
0.517 0.029 0.125 O
0.542 0.002 0.380 O
0.811 0.669 0.942 O
0.831 0.689 0.454 O
0.863 0.656 0.709 O
0.876 0.661 0.207 O
```

- spin magnetization (μB per formula unit) = 10.00

***

Entry c
Density functional theory data (PBE+U) for a relaxed Li7Mn2Co3O12 crystal.

The structure in POSCAR format:
```
Li7Mn2Co3O12
1.0
3.026 0.000 0.000
0.411 5.993 0.000
0.359 2.865 12.044
Li Mn Co O
7 2 3 12
direct
0.000 0.000 0.000 Li
0.000 0.500 0.000 Li
0.002 0.166 0.668 Li
0.497 0.677 0.162 Li
0.500 0.000 0.500 Li
0.503 0.323 0.838 Li
0.998 0.834 0.332 Li
0.001 0.333 0.331 Mn
0.999 0.667 0.669 Mn
0.493 0.158 0.159 Co
0.500 0.500 0.500 Co
0.507 0.842 0.841 Co
0.004 0.260 0.493 O
0.024 0.403 0.171 O
0.026 0.063 0.834 O
0.472 0.427 0.660 O
0.475 0.098 0.320 O
0.497 0.755 0.984 O
0.503 0.245 0.016 O
0.525 0.902 0.680 O
0.528 0.573 0.340 O
0.974 0.937 0.166 O
0.976 0.597 0.829 O
0.996 0.740 0.507 O
```

- spin magnetization (μB per formula unit) = 18.01

***

Most favorable structure: entry a. The second most favorable one is 0.039 eV/atom above it.

***

Entry a
Density functional theory data (PBE+U) for a relaxed Li7Mn2Co3O12 crystal.

The structure in POSCAR format:
```
Li7Mn2Co3O12
1.0
2.979 0.000 0.000
-1.310 7.511 0.000
-1.252 -0.495 9.665
Li Mn Co O
7 2 3 12
direct
0.000 0.000 0.000 Li
0.078 0.417 0.741 Li
0.215 0.236 0.233 Li
0.393 0.072 0.746 Li
0.560 0.918 0.229 Li
0.736 0.745 0.743 Li
0.913 0.581 0.243 Li
0.643 0.323 0.990 Mn
0.817 0.162 0.491 Mn
0.145 0.827 0.491 Co
0.320 0.676 0.985 Co
0.489 0.498 0.490 Co
0.048 0.222 0.880 O
0.102 0.627 0.606 O
0.149 0.028 0.373 O
0.252 0.451 0.092 O
0.350 0.850 0.874 O
0.486 0.296 0.609 O
0.533 0.698 0.374 O
0.615 0.139 0.108 O
0.664 0.539 0.879 O
0.758 0.958 0.608 O
0.882 0.370 0.376 O
0.963 0.769 0.103 O
```

- spin magnetization (μB per formula unit) = 8.00

***

Entry b
Density functional theory data (PBE+U) for a relaxed Li7Mn2Co3O12 crystal.

The structure in POSCAR format:
```
Li7Mn2Co3O12
1.0
5.803 0.000 0.000
2.821 8.355 0.000
0.277 4.182 8.838
Li Mn Co O
14 4 6 24
direct
0.000 0.000 0.000 Li
0.071 0.358 0.836 Li
0.179 0.663 0.674 Li
0.249 0.002 0.500 Li
0.250 0.500 0.000 Li
0.320 0.337 0.325 Li
0.428 0.640 0.167 Li
0.500 0.000 0.000 Li
0.572 0.360 0.833 Li
0.680 0.663 0.675 Li
0.750 0.500 0.000 Li
0.751 0.998 0.500 Li
0.821 0.337 0.326 Li
0.929 0.642 0.164 Li
0.154 0.180 0.163 Mn
0.346 0.820 0.837 Mn
0.654 0.180 0.163 Mn
0.846 0.820 0.837 Mn
0.000 0.500 0.500 Co
0.076 0.833 0.329 Co
0.423 0.168 0.670 Co
0.500 0.500 0.500 Co
0.577 0.832 0.330 Co
0.924 0.167 0.671 Co
0.048 0.395 0.170 O
0.057 0.911 0.684 O
0.119 0.759 0.982 O
0.126 0.243 0.516 O
0.198 0.581 0.342 O
0.229 0.071 0.826 O
0.271 0.929 0.174 O
0.303 0.419 0.656 O
0.378 0.747 0.484 O
0.380 0.241 0.018 O
0.442 0.089 0.316 O
0.451 0.605 0.830 O
0.549 0.395 0.170 O
0.558 0.911 0.684 O
0.620 0.759 0.982 O
0.622 0.253 0.516 O
0.697 0.581 0.344 O
0.729 0.071 0.826 O
0.771 0.929 0.174 O
0.802 0.419 0.658 O
0.874 0.757 0.484 O
0.881 0.241 0.018 O
0.943 0.089 0.316 O
0.952 0.605 0.830 O
```

- spin magnetization (μB per formula unit) = 4.00

***

Most favorable structure: entry b. The second most favorable one is 0.016 eV/atom above it.

***

Entry a
Density functional theory data (PBE+U) for a relaxed Li7Mn2Co3O12 crystal.

The structure in POSCAR format:
```
Li7Mn2Co3O12
1.0
7.595 -1.460 0.000
7.595 1.460 0.000
-3.229 0.000 9.689
Li Mn Co O
7 2 3 12
direct
0.000 0.000 0.000 Li
0.002 0.002 0.509 Li
0.330 0.330 0.516 Li
0.337 0.337 0.998 Li
0.663 0.663 0.002 Li
0.668 0.668 0.508 Li
0.833 0.833 0.751 Li
0.170 0.170 0.754 Mn
0.834 0.834 0.254 Mn
0.164 0.164 0.259 Co
0.493 0.493 0.760 Co
0.507 0.507 0.252 Co
0.076 0.076 0.377 O
0.083 0.083 0.866 O
0.241 0.241 0.637 O
0.261 0.261 0.143 O
0.408 0.408 0.362 O
0.425 0.425 0.873 O
0.582 0.582 0.135 O
0.589 0.589 0.650 O
0.739 0.739 0.866 O
0.753 0.753 0.367 O
0.916 0.916 0.143 O
0.926 0.926 0.638 O
```

- spin magnetization (μB per formula unit) = 9.59

***

Entry b
Density functional theory data (PBE+U) for a relaxed Li7Mn2Co3O12 crystal.

The structure in POSCAR format:
```
Li7Mn2Co3O12
1.0
5.203 0.000 0.000
0.000 2.879 0.000
-0.207 0.000 14.523
Li Mn Co O
7 2 3 12
direct
0.000 0.000 0.000 Li
0.007 0.000 0.493 Li
0.154 0.500 0.846 Li
0.348 0.000 0.160 Li
0.508 0.500 0.492 Li
0.657 0.000 0.843 Li
0.841 0.500 0.160 Li
0.333 0.000 0.667 Mn
0.833 0.500 0.669 Mn
0.172 0.500 0.328 Co
0.502 0.500 0.999 Co
0.672 0.000 0.329 Co
0.003 0.000 0.250 O
0.190 0.500 0.590 O
0.218 0.500 0.071 O
0.337 0.000 0.408 O
0.352 0.000 0.926 O
0.474 0.500 0.743 O
0.507 0.500 0.253 O
0.651 0.000 0.071 O
0.696 0.000 0.590 O
0.789 0.500 0.927 O
0.838 0.500 0.408 O
0.973 0.000 0.747 O
```

- spin magnetization (μB per formula unit) = 6.00

***

Most favorable structure: entry a. The second most favorable one is 0.030 eV/atom above it.

***

Entry a
Density functional theory data (PBE+U) for a relaxed Li3MnCoO5 crystal.

The structure in POSCAR format:
```
Li3MnCoO5
1.0
2.907 0.000 0.000
-0.035 5.143 0.000
-1.315 -0.972 12.066
Li Mn Co O
6 2 2 10
direct
0.000 0.000 0.000 Li
0.077 0.708 0.191 Li
0.298 0.116 0.603 Li
0.485 0.517 0.996 Li
0.683 0.907 0.393 Li
0.916 0.302 0.809 Li
0.582 0.193 0.192 Mn
0.791 0.620 0.599 Mn
0.186 0.409 0.396 Co
0.406 0.826 0.814 Co
0.046 0.336 0.111 O
0.125 0.075 0.292 O
0.248 0.749 0.506 O
0.329 0.489 0.685 O
0.449 0.137 0.889 O
0.542 0.882 0.108 O
0.626 0.532 0.299 O
0.745 0.292 0.500 O
0.841 0.929 0.695 O
0.945 0.655 0.890 O
```

- spin magnetization (μB per formula unit) = 6.72

***

Entry b
Density functional theory data (PBE+U) for a relaxed Li3MnCoO5 crystal.

The structure in POSCAR format:
```
Li3MnCoO5
1.0
4.981 0.000 0.000
-1.693 5.691 0.000
-0.795 -1.816 6.317
Li Mn Co O
6 2 2 10
direct
0.000 0.000 0.000 Li
0.000 0.500 0.000 Li
0.202 0.401 0.392 Li
0.393 0.797 0.804 Li
0.607 0.203 0.196 Li
0.798 0.599 0.608 Li
0.199 0.898 0.397 Mn
0.801 0.102 0.603 Mn
0.405 0.312 0.813 Co
0.595 0.688 0.187 Co
0.086 0.957 0.680 O
0.093 0.414 0.691 O
0.312 0.851 0.129 O
0.323 0.355 0.099 O
0.494 0.776 0.497 O
0.506 0.224 0.503 O
0.677 0.645 0.901 O
0.688 0.149 0.871 O
0.907 0.586 0.309 O
0.914 0.043 0.320 O
```

- spin magnetization (μB per formula unit) = 4.00

***

Most favorable structure: entry a. The second most favorable one is 0.019 eV/atom above it.

***

Entry a
Density functional theory data (PBE+U) for a relaxed Li3MnCoO5 crystal.

The structure in POSCAR format:
```
Li3MnCoO5
1.0
2.896 0.000 0.000
0.001 5.911 0.000
1.444 1.418 10.387
Li Mn Co O
6 2 2 10
direct
0.000 0.000 0.000 Li
0.000 0.500 0.000 Li
0.201 0.599 0.603 Li
0.409 0.211 0.181 Li
0.594 0.787 0.819 Li
0.803 0.400 0.397 Li
0.398 0.699 0.189 Mn
0.594 0.301 0.811 Mn
0.208 0.097 0.601 Co
0.803 0.902 0.399 Co
0.099 0.076 0.799 O
0.099 0.521 0.800 O
0.280 0.669 0.390 O
0.330 0.135 0.401 O
0.489 0.747 0.015 O
0.509 0.253 0.985 O
0.676 0.330 0.611 O
0.735 0.864 0.599 O
0.892 0.924 0.201 O
0.893 0.478 0.200 O
```

- spin magnetization (μB per formula unit) = 3.98

***

Entry b
Density functional theory data (PBE+U) for a relaxed Li3MnCoO5 crystal.

The structure in POSCAR format:
```
Li3MnCoO5
1.0
4.976 0.000 0.000
-0.863 5.074 0.000
-1.648 -2.845 7.072
Li Mn Co O
6 2 2 10
direct
0.000 0.000 0.000 Li
0.103 0.201 0.712 Li
0.291 0.586 0.091 Li
0.500 0.000 0.500 Li
0.709 0.414 0.909 Li
0.897 0.799 0.288 Li
0.199 0.399 0.398 Mn
0.801 0.601 0.602 Mn
0.407 0.812 0.813 Co
0.593 0.188 0.187 Co
0.046 0.601 0.828 O
0.133 0.768 0.546 O
0.264 0.042 0.264 O
0.371 0.192 0.949 O
0.457 0.412 0.635 O
0.543 0.588 0.365 O
0.629 0.808 0.051 O
0.736 0.958 0.736 O
0.867 0.232 0.454 O
0.954 0.399 0.172 O
```

- spin magnetization (μB per formula unit) = 4.00

***

Most favorable structure: entry a. The second most favorable one is 0.022 eV/atom above it.

***

Entry a
Density functional theory data (PBE+U) for a relaxed Li3MnCoO5 crystal.

The structure in POSCAR format:
```
Li3MnCoO5
1.0
1.482 0.855 24.674
-1.482 0.855 24.674
0.000 -1.711 24.674
Li Mn Co O
6 2 2 10
direct
0.000 0.000 0.000 Li
0.098 0.098 0.098 Li
0.301 0.301 0.301 Li
0.500 0.500 0.500 Li
0.699 0.699 0.699 Li
0.902 0.902 0.902 Li
0.201 0.201 0.201 Mn
0.799 0.799 0.799 Mn
0.400 0.400 0.400 Co
0.600 0.600 0.600 Co
0.052 0.052 0.052 O
0.148 0.148 0.148 O
0.251 0.251 0.251 O
0.351 0.351 0.351 O
0.452 0.452 0.452 O
0.548 0.548 0.548 O
0.649 0.649 0.649 O
0.749 0.749 0.749 O
0.852 0.852 0.852 O
0.948 0.948 0.948 O
```

- spin magnetization (μB per formula unit) = 8.74

***

Entry b
Density functional theory data (PBE+U) for a relaxed Li3MnCoO5 crystal.

The structure in POSCAR format:
```
Li3MnCoO5
1.0
2.630 -1.434 0.000
2.630 1.434 0.000
-0.583 0.000 24.477
Li Mn Co O
6 2 2 10
direct
0.000 0.000 0.000 Li
0.195 0.195 0.599 Li
0.401 0.401 0.202 Li
0.501 0.501 0.503 Li
0.599 0.599 0.800 Li
0.810 0.810 0.408 Li
0.104 0.104 0.302 Mn
0.700 0.700 0.102 Mn
0.301 0.301 0.901 Co
0.899 0.899 0.703 Co
0.074 0.074 0.149 O
0.149 0.149 0.451 O
0.265 0.265 0.747 O
0.327 0.327 0.055 O
0.464 0.464 0.345 O
0.541 0.541 0.661 O
0.646 0.646 0.947 O
0.735 0.735 0.255 O
0.853 0.853 0.555 O
0.957 0.957 0.856 O
```

- spin magnetization (μB per formula unit) = 6.63

***

Most favorable structure: entry b. The second most favorable one is 0.021 eV/atom above it.